<w>
Material: K4NiP6O25
Method: DFT, PBE+U
State: relaxed

Lattice parameters (Å, degrees): 12.8669 11.8229 7.4335 80.34 64.94 34.72
Atoms (fractional coordinates):
K  0.5215  0.9785  0.5215
K  0.0215  0.4785  0.0215
K  0.7012  0.5095  0.4905
K  0.4905  0.2988  0.7012
Ni  0.0030  0.9970  0.0030
P  0.4923  0.9558  0.0442
P  0.0442  0.5077  0.4923
P  0.6377  0.5961  0.0126
P  0.0126  0.7535  0.6377
P  0.4039  0.3623  0.2465
P  0.2465  0.9874  0.4039
O  0.5971  0.7566  0.9154
O  0.9154  0.7309  0.5971
O  0.2434  0.4029  0.2691
O  0.2691  0.0846  0.2434
O  0.4223  0.7561  0.2439
O  0.2439  0.5777  0.4223
O  0.4339  0.0902  0.9098
O  0.9098  0.5661  0.4339
O  0.6257  0.8723  0.1277
O  0.1277  0.3743  0.6257
O  0.6460  0.5055  0.8781
O  0.8781  0.9704  0.6460
O  0.4945  0.3540  0.0296
O  0.0296  0.1219  0.4945
O  0.8216  0.4446  0.0502
O  0.0502  0.6836  0.8216
O  0.5554  0.1784  0.3164
O  0.3164  0.9498  0.5554
O  0.1020  0.0614  0.9386
O  0.9386  0.8980  0.1020
O  0.2825  0.7175  0.8908
O  0.8908  0.1092  0.2825
O  0.1046  0.8954  0.7276
O  0.7276  0.2724  0.1046
O  0.4862  0.5138  0.4862

Results
Space-group type   Fmm2, No. 42


<x>
Material: K4NiP6O25
Method: DFT, PBE+U
State: relaxed

Lattice parameters (Å, degrees): 13.1338 12.5426 7.3617 77.80 68.98 33.22
Atoms (fractional coordinates):
K  0.5288  0.9712  0.5288
K  0.0288  0.4712  0.0288
K  0.7237  0.5002  0.4998
K  0.4998  0.2763  0.7237
Ni  0.9960  0.0040  0.9960
P  0.5051  0.9623  0.0377
P  0.0377  0.4949  0.5051
P  0.6185  0.6400  0.0229
P  0.0229  0.7186  0.6185
P  0.3600  0.3815  0.2814
P  0.2814  0.9771  0.3600
O  0.5858  0.7926  0.9225
O  0.9225  0.6991  0.5858
O  0.2074  0.4142  0.3009
O  0.3009  0.0775  0.2074
O  0.4226  0.7811  0.2189
O  0.2189  0.5774  0.4226
O  0.4428  0.1016  0.8984
O  0.8984  0.5572  0.4428
O  0.6458  0.8664  0.1336
O  0.1336  0.3542  0.6458
O  0.6107  0.5745  0.8875
O  0.8875  0.9273  0.6107
O  0.4255  0.3893  0.0727
O  0.0727  0.1125  0.4255
O  0.7946  0.4850  0.0896
O  0.0896  0.6308  0.7946
O  0.5150  0.2054  0.3692
O  0.3692  0.9104  0.5150
O  0.0975  0.0697  0.9303
O  0.9303  0.9025  0.0975
O  0.2554  0.7446  0.9220
O  0.9220  0.0780  0.2554
O  0.0775  0.9225  0.7415
O  0.7415  0.2585  0.0775
O  0.5167  0.4833  0.5167

Results
Space-group type   Fmm2, No. 42


<w> is the most stable structure; the next one sits 0.7 kJ/mol of atoms above it.


<w>
Material: K2V3P4O17
Method: DFT, PBE+U
State: relaxed

Lattice parameters (Å, degrees): 7.3830 11.6508 17.7262 90.00 90.00 90.00
Atoms (fractional coordinates):
K  0.2563  0.0431  0.6454
K  0.2563  0.4569  0.1454
K  0.7359  0.3692  0.3287
K  0.2359  0.8692  0.1713
K  0.7563  0.9569  0.3546
K  0.7563  0.5431  0.8546
K  0.2359  0.6308  0.6713
K  0.7359  0.1308  0.8287
V  0.2433  0.1615  0.3110
V  0.7381  0.1613  0.6017
V  0.7433  0.6615  0.1890
V  0.2381  0.8387  0.3983
V  0.7433  0.8385  0.6890
V  0.9654  0.9981  0.9992
V  0.2381  0.6613  0.8983
V  0.2433  0.3385  0.8110
V  0.7381  0.3387  0.1017
V  0.4654  0.0019  0.0008
V  0.4654  0.4981  0.5008
V  0.9654  0.5019  0.4992
P  0.4372  0.2097  0.4741
P  0.5420  0.1110  0.1741
P  0.5420  0.3890  0.6741
P  0.5319  0.7119  0.0301
P  0.4445  0.8883  0.8291
P  0.5319  0.7881  0.5301
P  0.9445  0.3883  0.6709
P  0.0420  0.8890  0.8259
P  0.4372  0.2903  0.9741
P  0.9445  0.1117  0.1709
P  0.0319  0.2881  0.9699
P  0.9372  0.7097  0.0259
P  0.9372  0.7903  0.5259
P  0.4445  0.6117  0.3291
P  0.0319  0.2119  0.4699
P  0.0420  0.6110  0.3259
O  0.9669  0.5329  0.3872
O  0.4669  0.4671  0.6128
O  0.7323  0.7081  0.9915
O  0.4632  0.8346  0.0310
O  0.0430  0.6292  0.9737
O  0.7444  0.0670  0.1950
O  0.4151  0.8669  0.4808
O  0.4273  0.7624  0.8533
O  0.9151  0.1331  0.5192
O  0.5143  0.9676  0.8909
O  0.2444  0.9330  0.8050
O  0.5119  0.3315  0.4756
O  0.9669  0.9671  0.8872
O  0.5430  0.1292  0.5263
O  0.2323  0.2081  0.5085
O  0.5530  0.5932  0.2573
O  0.7400  0.0461  0.6554
O  0.4416  0.4082  0.7478
O  0.2400  0.5461  0.8446
O  0.9416  0.5918  0.2522
O  0.7400  0.4539  0.1554
O  0.7470  0.7938  0.2199
O  0.5454  0.6627  0.1101
O  0.2373  0.0082  0.9909
O  0.0119  0.8315  0.0244
O  0.9632  0.3346  0.4690
O  0.5561  0.2625  0.6508
O  0.0561  0.7625  0.8492
O  0.9632  0.1654  0.9690
O  0.7373  0.5082  0.5091
O  0.0530  0.4068  0.7427
O  0.5454  0.8373  0.6101
O  0.0430  0.8708  0.4737
O  0.2470  0.2062  0.7801
O  0.0454  0.1627  0.3899
O  0.0143  0.4676  0.6091
O  0.4314  0.1620  0.3936
O  0.7470  0.7062  0.7199
O  0.2444  0.5670  0.3050
O  0.0454  0.3373  0.8899
O  0.5561  0.2375  0.1508
O  0.4669  0.0329  0.1128
O  0.0119  0.6685  0.5244
O  0.4273  0.7376  0.3533
O  0.9314  0.8380  0.6064
O  0.0530  0.0932  0.2427
O  0.5430  0.3708  0.0263
O  0.4632  0.6654  0.5310
O  0.7444  0.4330  0.6950
O  0.4416  0.0918  0.2478
O  0.4314  0.3380  0.8936
O  0.5530  0.9068  0.7573
O  0.9273  0.2624  0.6467
O  0.9151  0.3669  0.0192
O  0.9416  0.9082  0.7522
O  0.2323  0.2919  0.0085
O  0.2373  0.4918  0.4909
O  0.2470  0.2938  0.2801
O  0.5143  0.5324  0.3909
O  0.7373  0.9918  0.0091
O  0.5119  0.1685  0.9756
O  0.2400  0.9539  0.3446
O  0.7323  0.7919  0.4915
O  0.0561  0.7375  0.3492
O  0.9273  0.2376  0.1467
O  0.9314  0.6620  0.1064
O  0.4151  0.6331  0.9808
O  0.0143  0.0324  0.1091

Results
Space-group type   Pna2_1, No. 33


<x>
Material: K2V3P4O17
Method: DFT, PBE+U
State: relaxed

Lattice parameters (Å, degrees): 5.0990 9.3832 18.7721 65.43 90.00 90.00
Atoms (fractional coordinates):
K  0.7521  0.6775  0.3291
K  0.2314  0.3229  0.1704
K  0.7686  0.3229  0.6704
K  0.2479  0.6775  0.8291
V  0.7207  0.8615  0.6536
V  0.2225  0.1385  0.8471
V  0.7775  0.1385  0.3471
V  0.2793  0.8615  0.1536
V  0.3495  0.4979  0.5006
V  0.6505  0.4979  0.0006
P  0.2268  0.6982  0.6038
P  0.7283  0.3010  0.8970
P  0.2717  0.3010  0.3970
P  0.7732  0.6982  0.1038
P  0.2198  0.1251  0.5704
P  0.7225  0.8750  0.9301
P  0.2775  0.8750  0.4301
P  0.7802  0.1251  0.0704
O  0.7517  0.8195  0.7468
O  0.2515  0.1802  0.7540
O  0.7485  0.1802  0.2540
O  0.2483  0.8195  0.2468
O  0.7056  0.8426  0.0217
O  0.2064  0.1558  0.4789
O  0.7936  0.1558  0.9789
O  0.2944  0.8426  0.5217
O  0.7382  0.7145  0.9268
O  0.2246  0.2863  0.5732
O  0.7754  0.2863  0.0732
O  0.2618  0.7145  0.4268
O  0.4255  0.7082  0.6625
O  0.9286  0.2927  0.8384
O  0.0714  0.2927  0.3384
O  0.5745  0.7082  0.1625
O  0.9441  0.7163  0.6267
O  0.4460  0.2830  0.8737
O  0.5540  0.2830  0.3737
O  0.0559  0.7163  0.1267
O  0.9691  0.9679  0.8961
O  0.4683  0.0333  0.6040
O  0.5317  0.0333  0.1040
O  0.0309  0.9679  0.3961
O  0.7493  0.5464  0.0919
O  0.2454  0.4522  0.4093
O  0.7546  0.4522  0.9093
O  0.2507  0.5464  0.5919
O  0.9702  0.0384  0.6064
O  0.4711  0.9603  0.8944
O  0.5289  0.9603  0.3944
O  0.0298  0.0384  0.1064
O  0.3286  0.4938  0.9993
O  0.6714  0.4938  0.4993

Results
Space-group type   Pc, No. 7


<x> is the most stable structure; the next one sits 4.4 kJ/mol of atoms above it.


<w>
Material: KSrSbWO6
Method: DFT, PBE+U
State: relaxed

Lattice parameters (Å, degrees): 8.4060 8.4319 8.4105 90.00 90.00 90.00
Atoms (fractional coordinates):
K  0.5000  0.0000  0.5000
K  0.5000  0.5000  0.0000
K  0.0000  0.5000  0.0000
K  0.0000  0.0000  0.5000
Sr  0.0000  0.5000  0.5000
Sr  0.5000  0.0000  0.0000
Sr  0.0000  0.0000  0.0000
Sr  0.5000  0.5000  0.5000
Sb  0.7500  0.7500  0.7500
Sb  0.2500  0.2500  0.7500
Sb  0.2500  0.7500  0.2500
Sb  0.7500  0.2500  0.2500
W  0.2500  0.2500  0.2500
W  0.7500  0.7500  0.2500
W  0.7500  0.2500  0.7500
W  0.2500  0.7500  0.7500
O  0.0191  0.2351  0.2637
O  0.9809  0.7649  0.2637
O  0.9809  0.2351  0.7363
O  0.0191  0.7649  0.7363
O  0.2649  0.0184  0.2239
O  0.2649  0.9816  0.7761
O  0.7351  0.9816  0.2239
O  0.7351  0.0184  0.7761
O  0.2339  0.2564  0.0188
O  0.7661  0.2564  0.9812
O  0.2339  0.7436  0.9812
O  0.7661  0.7436  0.0188
O  0.4809  0.2649  0.2363
O  0.5191  0.7351  0.2363
O  0.5191  0.2649  0.7637
O  0.4809  0.7351  0.7637
O  0.2351  0.4816  0.2761
O  0.2351  0.5184  0.7239
O  0.7649  0.5184  0.2761
O  0.7649  0.4816  0.7239
O  0.2661  0.2436  0.4812
O  0.7339  0.2436  0.5188
O  0.2661  0.7564  0.5188
O  0.7339  0.7564  0.4812

Results
Space-group type   Pnnn, No. 48


<x>
Material: KSrSbWO6
Method: DFT, PBE+U
State: relaxed

Lattice parameters (Å, degrees): 5.9665 5.9665 5.9665 60.00 60.00 60.00
Atoms (fractional coordinates):
K  0.2500  0.2500  0.2500
Sr  0.7500  0.7500  0.7500
Sb  0.0000  0.0000  0.0000
W  0.5000  0.5000  0.5000
O  0.7317  0.2683  0.2683
O  0.2683  0.7317  0.7317
O  0.7317  0.2683  0.7317
O  0.2683  0.7317  0.2683
O  0.7317  0.7317  0.2683
O  0.2683  0.2683  0.7317

Results
Space-group type   F-43m, No. 216


<w> is the most stable structure; the next one sits 0.6 kJ/mol of atoms above it.


<w>
Material: KTbSnWO6
Method: DFT, PBE+U
State: relaxed

Lattice parameters (Å, degrees): 5.9416 5.9416 5.9416 60.00 60.00 60.00
Atoms (fractional coordinates):
K  0.2500  0.2500  0.2500
Tb  0.0000  0.0000  0.0000
Sn  0.7500  0.7500  0.7500
W  0.5000  0.5000  0.5000
O  0.7322  0.2678  0.2678
O  0.2678  0.7322  0.7322
O  0.7322  0.2678  0.7322
O  0.2678  0.7322  0.2678
O  0.7322  0.7322  0.2678
O  0.2678  0.2678  0.7322

Results
Space-group type   F-43m, No. 216


<x>
Material: KTbSnWO6
Method: DFT, PBE+U
State: relaxed

Lattice parameters (Å, degrees): 5.9503 5.9503 8.3896 90.00 90.00 90.00
Atoms (fractional coordinates):
K  0.0000  0.0000  0.2500
K  0.0000  0.0000  0.7500
Tb  0.5000  0.0000  0.5000
Tb  0.0000  0.5000  0.0000
Sn  0.5000  0.5000  0.7500
Sn  0.5000  0.5000  0.2500
W  0.5000  0.0000  0.0000
W  0.0000  0.5000  0.5000
O  0.2744  0.7609  0.0000
O  0.7256  0.2391  0.0000
O  0.2391  0.7256  0.5000
O  0.7609  0.2744  0.5000
O  0.7256  0.7609  0.0000
O  0.7609  0.7256  0.5000
O  0.2744  0.2391  0.0000
O  0.2391  0.2744  0.5000
O  0.5000  0.0000  0.7681
O  0.0000  0.5000  0.7319
O  0.5000  0.0000  0.2319
O  0.0000  0.5000  0.2681

Results
Space-group type   P4_2/mmc, No. 131


<x> is the most stable structure; the next one sits 0.8 kJ/mol of atoms above it.


<w>
Material: KV4O10
Method: DFT, PBE+U
State: relaxed

Lattice parameters (Å, degrees): 3.7131 6.1631 9.8080 92.18 90.00 72.47
Atoms (fractional coordinates):
K  0.4058  0.1884  0.4758
V  0.0599  0.8801  0.1540
V  0.9392  0.1215  0.8461
V  0.7627  0.4746  0.1566
V  0.2359  0.5282  0.8445
O  0.5955  0.8090  0.1262
O  0.4042  0.1916  0.8743
O  0.7768  0.4464  0.3218
O  0.2286  0.5429  0.6798
O  0.9181  0.1638  0.0943
O  0.0838  0.8325  0.9040
O  0.0405  0.9190  0.3202
O  0.9554  0.0891  0.6795
O  0.2355  0.5290  0.1107
O  0.7645  0.4711  0.8885

Results
Space-group type   Cm, No. 8


<x>
Material: KV4O10
Method: DFT, PBE+U
State: relaxed

Lattice parameters (Å, degrees): 6.0956 6.0956 20.5803 90.00 90.00 144.58
Atoms (fractional coordinates):
K  0.6042  0.3958  0.2500
K  0.3958  0.6042  0.7500
V  0.7718  0.2282  0.0811
V  0.7718  0.2282  0.4189
V  0.9332  0.0668  0.5785
V  0.9332  0.0668  0.9215
V  0.0668  0.9332  0.0785
V  0.0668  0.9332  0.4215
V  0.2282  0.7718  0.5811
V  0.2282  0.7718  0.9189
O  0.9189  0.0811  0.0486
O  0.7865  0.2135  0.3402
O  0.7865  0.2135  0.1598
O  0.9189  0.0811  0.4514
O  0.6011  0.3989  0.0635
O  0.9492  0.0508  0.6579
O  0.7598  0.2402  0.5607
O  0.9492  0.0508  0.8421
O  0.7598  0.2402  0.9393
O  0.6011  0.3989  0.4365
O  0.2402  0.7598  0.0607
O  0.0508  0.9492  0.1579
O  0.2402  0.7598  0.4393
O  0.2135  0.7865  0.8402
O  0.0508  0.9492  0.3421
O  0.2135  0.7865  0.6598
O  0.0811  0.9189  0.5486
O  0.0811  0.9189  0.9514
O  0.3989  0.6011  0.5635
O  0.3989  0.6011  0.9365

Results
Space-group type   Cmcm, No. 63


<w> is the most stable structure; the next one sits 0.6 kJ/mol of atoms above it.